No. 1
VASP calculation (r²SCAN) on a relaxed structure of Tb2Fe3Si5.

Cell lengths 10.315, 10.315, 5.470 Å; angles 90.00, 90.00, 90.00 degrees
Space group P4/mnc (No. 128)
Unique sites:
Tb 0.070 0.236 0.000
Fe 0.000 0.500 0.250
Fe 0.123 0.855 0.500
Si 0.000 0.000 0.274
Si 0.020 0.321 0.500
Si 0.177 0.677 0.250

V ... 582.0 Å³ per cell
Calculated formation energy ... -0.557 eV/atom
Magnetic moment ... 0.00 μB per cell

No. 2
VASP calculation (r²SCAN) on a relaxed structure of TbFeSi2.

Cell lengths 4.254, 3.959, 7.916 Å; angles 90.00, 103.69, 90.00 degrees
Space group P2_1/m (No. 11)
Unique sites:
Tb 0.106 0.250 0.208
Fe 0.385 0.250 0.609
Si 0.172 0.750 0.496
Si 0.457 0.250 0.901

V ... 129.5 Å³ per cell
Calculated formation energy ... -0.636 eV/atom
Magnetic moment ... 0.00 μB per cell